# 1
# K6MgSb2S8

Crystalline K6MgSb2S8 at its relaxed geometry (PBE-GGA, Materials Project).

a = 7.9712 Å, b = 8.3566 Å, c = 8.3566 Å
α = 93.45°, β = 95.48°, γ = 84.52°
With the nearest neighbours (Å) after each atom.
Sites, in units of the cell vectors:
S  0.6257  0.3992  0.6008  1 Sb 2.39
S  0.8436  0.9644  0.3574  1 Mg 2.52, 1 Sb 2.52
S  0.3852  0.9119  0.0881  1 Mg 2.35
S  0.3475  0.3852  0.9549  1 Sb 2.36
S  0.8436  0.6426  0.0356  1 Mg 2.52, 1 Sb 2.52
S  0.7694  0.1001  0.8999  1 Sb 2.42, 1 Mg 2.50
S  0.1125  0.5542  0.4458  1 Sb 2.47
S  0.3475  0.0451  0.6148  1 Sb 2.36
Mg  0.6803  0.9105  0.0895  4 S 2.35-2.52
K  0.5296  0.6663  0.3337  2 S 3.06-3.24, 1 Mg 3.35
K  0.4348  0.6941  0.7903  4 S 3.03-3.34
K  0.9641  0.8119  0.7079  4 S 3.17-3.41
K  0.0167  0.3009  0.6991  5 S 3.19-3.34
K  0.9641  0.2921  0.1881  4 S 3.17-3.41
K  0.4348  0.2097  0.3059  4 S 3.03-3.34
Sb  0.0574  0.7589  0.2411  3 S 2.47-2.52
Sb  0.5105  0.2278  0.7722  4 S 2.36-2.42

Properties
- ΔE to the lowest computed polymorph (kJ per mole of atoms) = 2.16


# 2
# La2CuS4

Crystalline La2CuS4 at its relaxed geometry (PBE-GGA, Materials Project).

a = 4.4447 Å, b = 4.4447 Å, c = 8.3766 Å
α = 105.56°, β = 105.56°, γ = 89.38°
With the nearest neighbours (Å) after each atom.
Sites, in units of the cell vectors:
La  0.3642  0.3642  0.7285  5 S 2.84-3.06
La  0.6358  0.6358  0.2715  5 S 2.84-3.06
S  0.1813  0.1813  0.3626  1 Cu 2.81, 1 La 2.84
S  0.8187  0.8187  0.6374  1 Cu 2.81, 1 La 2.84
S  0.0000  0.5000  0.0000  2 Cu 2.22
S  0.5000  0.0000  0.0000  2 Cu 2.22
Cu  0.0000  0.0000  0.0000  4 S 2.22

Properties
- ΔE to the lowest computed polymorph (kJ per mole of atoms) = 9.99


# 3
# BaHo2CuO5

Crystalline BaHo2CuO5 at its relaxed geometry (PBE-GGA, Materials Project).

a = 5.6885 Å, b = 7.2047 Å, c = 12.2192 Å
α = 90.00°, β = 90.00°, γ = 90.00°
With the nearest neighbours (Å) after each atom.
Sites, in units of the cell vectors:
O  0.5031  0.3564  0.2281  1 Cu 2.03
O  0.9969  0.3564  0.2281  1 Cu 2.03
O  0.7500  0.5854  0.3998  2 Ho 2.27-2.29, 1 Cu 2.31
O  0.9949  0.1609  0.4319  1 Cu 2.00
O  0.5031  0.1436  0.7281  1 Cu 2.03
O  0.2500  0.0854  0.1002  2 Ho 2.27-2.29, 1 Cu 2.31
O  0.5051  0.3391  0.9319  1 Cu 2.00
O  0.5051  0.1609  0.4319  1 Cu 2.00
O  0.4969  0.6436  0.7719  1 Cu 2.03
O  0.4949  0.8391  0.5681  1 Cu 2.00
O  0.0051  0.8391  0.5681  1 Cu 2.00
O  0.0051  0.6609  0.0681  1 Cu 2.00
O  0.0031  0.6436  0.7719  1 Cu 2.03
O  0.4969  0.8564  0.2719  1 Cu 2.03
O  0.9969  0.1436  0.7281  1 Cu 2.03
O  0.7500  0.9146  0.8998  2 Ho 2.27-2.29, 1 Cu 2.31
O  0.4949  0.6609  0.0681  1 Cu 2.00
O  0.2500  0.4146  0.6002  2 Ho 2.27-2.29, 1 Cu 2.31
O  0.0031  0.8564  0.2719  1 Cu 2.03
O  0.9949  0.3391  0.9319  1 Cu 2.00
Ho  0.7500  0.8969  0.4261  7 O 2.27-2.39
Ho  0.2500  0.1135  0.2870  7 O 2.29-2.38
Ho  0.2500  0.3969  0.0739  7 O 2.27-2.39
Ho  0.7500  0.6135  0.2130  7 O 2.29-2.38
Ho  0.7500  0.8865  0.7130  7 O 2.29-2.38
Ho  0.2500  0.3865  0.7870  7 O 2.29-2.38
Ho  0.7500  0.6031  0.9261  7 O 2.27-2.39
Ho  0.2500  0.1031  0.5739  7 O 2.27-2.39
Ba  0.2500  0.9311  0.9042  3 O 2.64-2.85
Ba  0.7500  0.0689  0.0958  3 O 2.64-2.85
Ba  0.7500  0.4311  0.5958  3 O 2.64-2.85
Ba  0.2500  0.5689  0.4042  3 O 2.64-2.85
Cu  0.2500  0.7177  0.6606  4 O 2.00-2.03
Cu  0.7500  0.2177  0.8394  4 O 2.00-2.03
Cu  0.2500  0.7823  0.1606  4 O 2.00-2.03
Cu  0.7500  0.2823  0.3394  4 O 2.00-2.03


# 4
# AgH36C15S3N6Cl

Crystalline AgH36C15S3N6Cl at its relaxed geometry (PBE-GGA, Materials Project).

a = 13.7167 Å, b = 13.9323 Å, c = 16.8750 Å
α = 74.55°, β = 74.30°, γ = 63.07°
With the nearest neighbours (Å) after each atom.
Sites, in units of the cell vectors:
N  0.4321  0.8924  0.5750  1 H 1.03
N  0.0713  0.0354  0.0725  1 H 1.03
N  0.5164  0.8401  0.0905  1 H 1.03
N  0.3591  0.5730  0.0577  1 H 1.03
N  0.1100  0.3786  0.4415  1 H 1.03
N  0.6631  0.5089  0.0345  1 H 1.02
N  0.6308  0.4434  0.5545  1 H 1.03
N  0.0352  0.6544  0.4682  1 H 1.02
N  0.6524  0.3531  0.4513  1 H 1.02
N  0.6409  0.4270  0.9423  1 H 1.03
N  0.6717  0.9767  0.5203  1 H 1.02
N  0.9287  0.9646  0.9275  1 H 1.03
N  0.3369  0.4911  0.9655  1 H 1.02
N  0.5679  0.1076  0.4250  1 H 1.03
N  0.3692  0.5566  0.4455  1 H 1.03
N  0.6560  0.8714  0.9895  1 H 1.02
N  0.9648  0.3456  0.5318  1 H 1.02
N  0.8900  0.6214  0.5585  1 H 1.03
N  0.3476  0.6469  0.5487  1 H 1.02
N  0.4836  0.1599  0.9095  1 H 1.03
N  0.3440  0.1286  0.0105  1 H 1.02
N  0.9900  0.1766  0.9714  1 H 1.03
N  0.0100  0.8234  0.0286  1 H 1.03
N  0.3283  0.0233  0.4797  1 H 1.02
H  0.6122  0.7184  0.2326  1 C 1.10
H  0.2238  0.5254  0.2012  1 C 1.10
H  0.8376  0.1848  0.6595  1 C 1.10
H  0.7290  0.8422  0.6115  1 C 1.10
H  0.4962  0.8176  0.5883  1 N 1.03
H  0.2415  0.4377  0.1334  1 C 1.10
H  0.0822  0.6087  0.5137  1 N 1.02
H  0.1624  0.8152  0.3405  1 C 1.10
H  0.6346  0.5974  0.1251  1 C 1.10
H  0.3647  0.4931  0.4285  1 N 1.03
H  0.1374  0.9637  0.0884  1 N 1.03
H  0.9920  0.6850  0.6472  1 C 1.10
H  0.5038  0.1824  0.4117  1 N 1.03
H  0.3654  0.4026  0.8749  1 C 1.10
H  0.5065  0.8737  0.7136  1 C 1.10
H  0.6438  0.8219  0.2475  1 C 1.10
H  0.2710  0.1578  0.3885  1 C 1.10
H  0.6390  0.3890  0.7188  1 C 1.10
H  0.9576  0.8107  0.1566  1 C 1.10
H  0.2846  0.9861  0.6481  1 C 1.11
H  0.0080  0.3150  0.3528  1 C 1.10
H  0.8171  0.2111  0.2929  1 C 1.10
H  0.8339  0.5491  0.0531  1 C 1.10
H  0.3610  0.6110  0.2812  1 C 1.10
H  0.4268  0.4851  0.1640  1 C 1.10
H  0.1760  0.4998  0.8373  1 C 1.10
H  0.9470  0.1574  0.1396  1 C 1.11
H  0.1653  0.0882  0.3351  1 C 1.10
H  0.9648  0.1397  0.5870  1 C 1.10
H  0.6786  0.8919  0.0334  1 N 1.02
H  0.6547  0.3554  0.9260  1 N 1.03
H  0.4037  0.8208  0.7400  1 C 1.10
H  0.1006  0.7303  0.1231  1 C 1.10
H  0.9178  0.3913  0.4863  1 N 1.02
H  0.9187  0.1996  0.0149  1 N 1.03
H  0.0296  0.9121  0.2134  1 C 1.10
H  0.3618  0.0326  0.3517  1 C 1.10
H  0.9044  0.6870  0.1096  1 C 1.10
H  0.4604  0.9020  0.2009  1 C 1.10
H  0.2120  0.9631  0.4058  1 C 1.10
H  0.5526  0.1773  0.8964  1 N 1.03
H  0.6347  0.5807  0.9942  1 N 1.02
H  0.2115  0.8456  0.5998  1 C 1.10
H  0.6197  0.3157  0.3530  1 C 1.10
H  0.1204  0.0873  0.4447  1 C 1.10
H  0.4476  0.4037  0.0928  1 C 1.10
H  0.7885  0.1544  0.4002  1 C 1.10
H  0.6353  0.5069  0.5715  1 N 1.03
H  0.2884  0.2400  0.8424  1 C 1.10
H  0.8633  0.2390  0.3698  1 C 1.10
H  0.5732  0.5149  0.8360  1 C 1.10
H  0.1216  0.2393  0.0561  1 C 1.10
H  0.3868  0.6904  0.5049  1 N 1.02
H  0.9616  0.4947  0.3991  1 C 1.10
H  0.6699  0.8905  0.8615  1 C 1.10
H  0.0767  0.9843  0.7314  1 C 1.10
H  0.3214  0.1081  0.9666  1 N 1.02
H  0.9025  0.0667  0.1189  1 C 1.11
H  0.0611  0.0082  0.2405  1 C 1.10
H  0.5079  0.4965  0.7016  1 C 1.10
H  0.0384  0.5053  0.6009  1 C 1.10
H  0.8626  0.0363  0.9116  1 N 1.03
H  0.4467  0.0495  0.8721  1 C 1.10
H  0.7762  0.4746  0.7988  1 C 1.10
H  0.5533  0.9505  0.1279  1 C 1.10
H  0.7116  0.7600  0.1576  1 C 1.10
H  0.9704  0.0879  0.7866  1 C 1.10
H  0.8288  0.3723  0.6282  1 C 1.10
H  0.1367  0.7610  0.6302  1 C 1.10
H  0.8640  0.4081  0.0923  1 C 1.10
H  0.3878  0.2816  0.7674  1 C 1.10
H  0.4969  0.3958  0.6017  1 C 1.11
H  0.1712  0.6277  0.3718  1 C 1.10
H  0.8784  0.7607  0.9439  1 C 1.10
H  0.8393  0.2344  0.5502  1 C 1.10
H  0.4474  0.8227  0.1036  1 N 1.03
H  0.6382  0.9674  0.6483  1 C 1.10
H  0.1197  0.2133  0.1657  1 C 1.10
H  0.6910  0.6165  0.7784  1 C 1.10
H  0.4935  0.1263  0.2864  1 C 1.10
H  0.9524  0.3951  0.9237  1 C 1.10
H  0.0401  0.7207  0.3430  1 C 1.10
H  0.0352  0.8603  0.4130  1 C 1.10
H  0.6289  0.2918  0.6175  1 C 1.11
H  0.5524  0.5963  0.9072  1 C 1.10
H  0.1661  0.4509  0.9469  1 C 1.10
H  0.2611  0.0490  0.1054  1 C 1.10
H  0.7880  0.0369  0.5942  1 C 1.10
H  0.6132  0.3096  0.4951  1 N 1.02
H  0.1607  0.7656  0.4498  1 C 1.10
H  0.1829  0.7889  0.7071  1 C 1.10
H  0.3453  0.6446  0.0740  1 N 1.03
H  0.3301  0.1095  0.1385  1 C 1.10
H  0.7585  0.5623  0.8666  1 C 1.10
H  0.9939  0.6131  0.1843  1 C 1.10
H  0.1325  0.3235  0.2895  1 C 1.10
H  0.1928  0.3649  0.4295  1 N 1.03
H  0.8675  0.6765  0.7105  1 C 1.10
H  0.8120  0.7050  0.9025  1 C 1.10
H  0.1360  0.5919  0.9077  1 C 1.10
H  0.7100  0.9283  0.4753  1 N 1.02
H  0.6104  0.9641  0.3793  1 C 1.11
H  0.3562  0.1781  0.7525  1 C 1.10
H  0.6649  0.4566  0.1616  1 C 1.10
H  0.0476  0.6049  0.0763  1 C 1.10
H  0.4816  0.6370  0.2483  1 C 1.09
H  0.0003  0.5770  0.7322  1 C 1.10
H  0.3744  0.9436  0.7724  1 C 1.10
H  0.3803  0.6843  0.6470  1 C 1.10
H  0.4921  0.5035  0.2984  1 C 1.10
H  0.1880  0.2950  0.0975  1 C 1.10
H  0.5963  0.1792  0.2600  1 C 1.10
H  0.8803  0.7867  0.8343  1 C 1.10
H  0.8072  0.6351  0.5705  1 N 1.03
H  0.3896  0.0359  0.6207  1 C 1.11
H  0.0061  0.3869  0.8157  1 C 1.10
H  0.0956  0.3130  0.8904  1 C 1.10
H  0.3653  0.4193  0.0058  1 N 1.02
H  0.8994  0.2697  0.8769  1 C 1.10
H  0.9599  0.2793  0.6570  1 C 1.10
H  0.2900  0.0717  0.5247  1 N 1.02
H  0.8796  0.9127  0.5553  1 C 1.10
H  0.3351  0.5434  0.8384  1 C 1.10
H  0.3052  0.6004  0.6751  1 C 1.10
H  0.9997  0.4230  0.2678  1 C 1.10
H  0.6948  0.3996  0.3249  1 C 1.10
H  0.8240  0.5002  0.1627  1 C 1.10
H  0.5031  0.6042  0.3983  1 C 1.11
H  0.9389  0.9918  0.7595  1 C 1.10
H  0.6256  0.0564  0.2276  1 C 1.10
H  0.5396  0.0980  0.7991  1 C 1.10
H  0.3711  0.7082  0.3825  1 C 1.11
H  0.3090  0.3835  0.2216  1 C 1.10
H  0.7389  0.9510  0.8946  1 C 1.10
H  0.7154  0.0139  0.3519  1 C 1.11
H  0.0975  0.9333  0.8811  1 C 1.11
H  0.0813  0.8004  0.9851  1 N 1.03
H  0.0854  0.4973  0.3364  1 C 1.10
H  0.8347  0.9118  0.6649  1 C 1.10
H  0.9233  0.0157  0.2686  1 C 1.10
H  0.9146  0.5027  0.6636  1 C 1.10
H  0.0424  0.1893  0.8434  1 C 1.10
H  0.0530  0.8426  0.8604  1 C 1.11
H  0.5184  0.3630  0.7517  1 C 1.09
C  0.0025  0.0019  0.7802  3 H 1.10
C  0.9077  0.3044  0.6097  2 H 1.10
C  0.9723  0.0709  0.1365  2 H 1.11
C  0.2836  0.4542  0.1718  3 H 1.10
C  0.5715  0.8396  0.0111  2 N 1.35
C  0.1703  0.2236  0.1039  3 H 1.10
C  0.2911  0.0699  0.3995  2 H 1.10
C  0.0469  0.3712  0.3180  3 H 1.10
C  0.9975  0.9981  0.2198  3 H 1.10
C  0.3752  0.9603  0.6402  2 H 1.11
C  0.6696  0.4178  0.0150  2 N 1.35
C  0.1911  0.0509  0.3963  3 H 1.10
C  0.3132  0.6725  0.6328  2 H 1.10
C  0.5829  0.1037  0.2787  3 H 1.10
C  0.0923  0.6956  0.3903  2 H 1.10
C  0.4093  0.9231  0.4973  2 N 1.34-1.35
C  0.6868  0.3275  0.3672  2 H 1.10
C  0.1899  0.5084  0.8958  3 H 1.10
C  0.8297  0.7764  0.8961  3 H 1.10
C  0.8101  0.4916  0.1042  3 H 1.10
C  0.6677  0.4304  0.4744  2 N 1.34-1.35
C  0.0796  0.0866  0.9930  2 N 1.34-1.35
C  0.5907  0.0769  0.5027  2 N 1.34-1.35
C  0.6248  0.0397  0.3598  2 H 1.11
C  0.0721  0.3312  0.5159  2 N 1.34-1.35
C  0.9279  0.6688  0.4841  2 N 1.34-1.35
C  0.5378  0.8763  0.1553  2 H 1.10
C  0.9531  0.6288  0.6820  3 H 1.10
C  0.0161  0.7572  0.1115  2 H 1.10
C  0.4285  0.1604  0.9889  2 N 1.35
C  0.5766  0.3798  0.6176  2 H 1.11
C  0.6320  0.7888  0.2003  3 H 1.10
C  0.9839  0.2428  0.8885  2 H 1.10
C  0.0470  0.4416  0.3738  2 H 1.10
C  0.6147  0.5252  0.8783  2 H 1.10
C  0.2784  0.1217  0.0941  2 H 1.10
C  0.4622  0.1237  0.8447  2 H 1.10
C  0.3680  0.2112  0.7997  3 H 1.10
C  0.3323  0.5696  0.5256  2 N 1.34-1.35
C  0.9891  0.6596  0.1207  3 H 1.10
C  0.5590  0.4088  0.7024  3 H 1.09-1.10
C  0.7089  0.9301  0.6005  2 H 1.10
C  0.0109  0.3404  0.8793  3 H 1.10
C  0.8089  0.9491  0.6037  3 H 1.10
C  0.7164  0.5458  0.8282  3 H 1.10
C  0.7957  0.2267  0.3572  3 H 1.10
C  0.4410  0.5912  0.2976  3 H 1.09-1.10
C  0.3853  0.4748  0.1217  2 H 1.10
C  0.4234  0.6202  0.3824  2 H 1.11
C  0.4171  0.8963  0.7213  3 H 1.10
C  0.8861  0.2099  0.6011  3 H 1.10
C  0.2043  0.7733  0.6428  3 H 1.10
C  0.6883  0.5147  0.1111  2 H 1.10
C  0.9204  0.9134  0.0070  2 N 1.34-1.35
C  0.1139  0.7901  0.3989  3 H 1.10
C  0.0277  0.9291  0.8635  2 H 1.11
C  0.9530  0.5584  0.6262  2 H 1.10
C  0.3117  0.4853  0.8889  2 H 1.10
C  0.3304  0.5822  0.9850  2 N 1.35
C  0.7216  0.8783  0.9059  2 H 1.10
Cl  0.3654  0.3542  0.3774  3 H 2.24-2.33
Cl  0.6346  0.6458  0.6226  3 H 2.24-2.33
Cl  0.7182  0.1950  0.8595  3 H 2.30-2.46
Cl  0.2818  0.8050  0.1405  3 H 2.30-2.46
Ag  0.3263  0.3075  0.5448  3 S 2.60-2.64, 1 Cl 2.69, 1 H 2.75
Ag  0.3245  0.8412  0.9735  3 S 2.58-2.62, 1 Cl 2.68, 1 H 2.75
Ag  0.6755  0.1588  0.0265  3 S 2.58-2.62, 1 Cl 2.68, 1 H 2.75
Ag  0.6737  0.6925  0.4552  3 S 2.60-2.64, 1 Cl 2.69, 1 H 2.75
S  0.2885  0.7048  0.9180  1 C 1.72
S  0.1997  0.0410  0.9211  1 C 1.72
S  0.8431  0.7444  0.4106  1 C 1.73
S  0.4781  0.8388  0.4232  1 C 1.72
S  0.5366  0.7992  0.9387  1 C 1.72
S  0.5219  0.1612  0.5768  1 C 1.72
S  0.7115  0.2952  0.0820  1 C 1.72
S  0.8003  0.9590  0.0789  1 C 1.72
S  0.2671  0.4928  0.5958  1 C 1.72
S  0.4634  0.2008  0.0613  1 C 1.72
S  0.7329  0.5072  0.4042  1 C 1.72
S  0.1569  0.2556  0.5894  1 C 1.73


no.,calculated volume (A^3/atom),MP2020-corrected energy (eV for the cell shown),DFT total energy (eV/f.u.)
1,32.402,-68.61,-64.6
2,21.893,-43.29,-41.3
3,13.911,-271.17,-64.4
4,11.004,-1364.41,-339.0